A relaxed U3Sb4Ir3 crystal. Source: the Materials Project, functional PBE.

abc: 8.3241 8.3241 8.3241
angles: 109.47 109.47 109.47
With the nearest neighbours (Å) after each atom.
Atoms (fractional coordinates):
Sb1 0.0000 0.1757 0.5000  3 Ir 2.71
Sb2 0.5000 0.0000 0.1757  3 Ir 2.71
Sb3 0.0000 0.6757 0.5000  3 Ir 2.71
Sb4 0.8243 0.8243 0.8243  3 Ir 2.71
Sb5 0.6757 0.5000 0.0000  3 Ir 2.71
Sb6 0.5000 0.0000 0.6757  3 Ir 2.71
Sb7 0.3243 0.3243 0.3243  3 Ir 2.71
Sb8 0.1757 0.5000 0.0000  3 Ir 2.71
Ir1 0.1250 0.7500 0.8750  4 Sb 2.71, 4 U 2.94
Ir2 0.2500 0.6250 0.3750  4 Sb 2.71, 4 U 2.94
Ir3 0.7500 0.8750 0.1250  4 Sb 2.71, 4 U 2.94
Ir4 0.8750 0.1250 0.7500  4 Sb 2.71, 4 U 2.94
Ir5 0.3750 0.2500 0.6250  4 Sb 2.71, 4 U 2.94
Ir6 0.6250 0.3750 0.2500  4 Sb 2.71, 4 U 2.94
U1 0.8750 0.2500 0.1250  4 Ir 2.94, 4 Sb 3.28
U2 0.7500 0.3750 0.6250  4 Ir 2.94, 4 Sb 3.28
U3 0.3750 0.6250 0.7500  4 Ir 2.94, 4 Sb 3.28
U4 0.1250 0.8750 0.2500  4 Ir 2.94, 4 Sb 3.28
U5 0.6250 0.7500 0.3750  4 Ir 2.94, 4 Sb 3.28
U6 0.2500 0.1250 0.8750  4 Ir 2.94, 4 Sb 3.28

For the volume, the calculation gives 444.01 Å³/cell. Its space-group type is I-43d, No. 220.


A relaxed Sc4Ir crystal. Source: the Materials Project, functional PBE.

abc: 7.1780 7.1780 7.1780
angles: 60.00 60.00 60.00
With the nearest neighbours (Å) after each atom.
Atoms (fractional coordinates):
Sc1 0.3899 0.8304 0.3899  1 Ir 2.46
Sc2 0.8601 0.8601 0.4196  1 Ir 2.46
Sc3 0.3899 0.3899 0.8304  1 Ir 2.46
Sc4 0.3899 0.3899 0.3899  1 Ir 2.46
Sc5 0.8601 0.4196 0.8601  1 Ir 2.46
Sc6 0.4196 0.8601 0.8601  1 Ir 2.46
Sc7 0.8601 0.8601 0.8601  1 Ir 2.46
Sc8 0.8304 0.3899 0.3899  1 Ir 2.46
Ir1 0.0000 0.0000 0.0000  4 Sc 2.46
Ir2 0.2500 0.2500 0.2500  4 Sc 2.46

For the volume, the calculation gives 261.51 Å³/cell. Its space-group type is Fd-3m, No. 227.


A relaxed Sc11Ir4 crystal. Source: the Materials Project, functional PBE.

abc: 9.4643 9.4643 9.4643
angles: 60.00 60.00 60.00
With the nearest neighbours (Å) after each atom.
Atoms (fractional coordinates):
Sc1 0.5292 0.1569 0.1569  3 Ir 2.74, 3 Sc 3.02
Sc2 0.1569 0.1569 0.1569  3 Ir 2.74, 3 Sc 3.02
Sc3 0.1569 0.5292 0.1569  3 Ir 2.74, 3 Sc 3.02
Sc4 0.8431 0.8431 0.4708  3 Ir 2.74, 3 Sc 3.02
Sc5 0.8522 0.3826 0.3826  4 Ir 2.72-2.96
Sc6 0.8431 0.8431 0.8431  3 Ir 2.74, 3 Sc 3.02
Sc7 0.8431 0.4708 0.8431  3 Ir 2.74, 3 Sc 3.02
Sc8 0.6174 0.1478 0.6174  4 Ir 2.72-2.96
Sc9 0.6174 0.6174 0.6174  4 Ir 2.72-2.96
Sc10 0.1478 0.6174 0.6174  4 Ir 2.72-2.96
Sc11 0.8010 0.1990 0.1990  1 Ir 2.66
Sc12 0.1990 0.8010 0.1990  1 Ir 2.66
Sc13 0.1990 0.1990 0.8010  1 Ir 2.66
Sc14 0.1990 0.8010 0.8010  1 Ir 2.66
Sc15 0.1569 0.1569 0.5292  3 Ir 2.74, 3 Sc 3.02
Sc16 0.8010 0.1990 0.8010  1 Ir 2.66
Sc17 0.3826 0.8522 0.3826  4 Ir 2.72-2.96
Sc18 0.3826 0.3826 0.8522  4 Ir 2.72-2.96
Sc19 0.8010 0.8010 0.1990  1 Ir 2.66
Sc20 0.4708 0.8431 0.8431  3 Ir 2.74, 3 Sc 3.02
Sc21 0.6174 0.6174 0.1478  4 Ir 2.72-2.96
Sc22 0.3826 0.3826 0.3826  4 Ir 2.72-2.96
Ir1 0.0000 0.5000 0.0000  8 Sc 2.74-2.96
Ir2 0.5000 0.5000 0.0000  8 Sc 2.74-2.96
Ir3 0.5000 0.5000 0.5000  8 Sc 2.72
Ir4 0.0000 0.5000 0.5000  8 Sc 2.74-2.96
Ir5 0.5000 0.0000 0.0000  8 Sc 2.74-2.96
Ir6 0.0000 0.0000 0.5000  8 Sc 2.74-2.96
Ir7 0.5000 0.0000 0.5000  8 Sc 2.74-2.96
Ir8 0.0000 0.0000 0.0000  6 Sc 2.66

For the volume, the calculation gives 599.45 Å³/cell. Its space-group type is Fm-3m, No. 225.


In order of appearance, E_tot = -163.60, -67.02, -230.88 eV for the cell shown.